! Ba3Nb2ZnO9 PBE optimized geometry; values from VASP
&SYSTEM
  ibrav = 0, nat = 15, ntyp = 4
/
ATOMIC_SPECIES
Nb 92.91 Nb.upf
O 16.00 O.upf
Zn 65.41 Zn.upf
Ba 137.33 Ba.upf
ATOMIC_POSITIONS crystal
Nb 0.667 0.333 0.823
O 0.500 0.500 0.000
Zn 0.000 0.000 0.500
Nb 0.333 0.667 0.177
Ba 0.333 0.667 0.666
O 0.656 0.828 0.324
Ba 0.667 0.333 0.334
O 0.172 0.344 0.324
O 0.828 0.172 0.676
O 0.344 0.172 0.676
O 0.828 0.656 0.676
O 0.172 0.828 0.324
O 0.000 0.500 0.000
Ba 0.000 0.000 0.000
O 0.500 0.000 0.000
CELL_PARAMETERS angstrom
-4.291 -0.514 -3.975
0.608 -4.054 4.204
-4.413 3.774 4.277
! **Size of the total moment**: 0.00 μB per cell
! **Formation enthalpy at 0 K**: -3.07 eV per atom
! **Symmetry**: No. 164

***

! Ba3ZrNb5O12 PBE optimized geometry; values from VASP
&SYSTEM
  ibrav = 0, nat = 42, ntyp = 4
/
ATOMIC_SPECIES
Ba 137.33 Ba.upf
O 16.00 O.upf
Nb 92.91 Nb.upf
Zr 91.22 Zr.upf
ATOMIC_POSITIONS crystal
Ba 0.000 0.000 0.754
O 0.000 0.500 0.497
O 0.250 0.250 0.128
O 0.000 0.000 0.000
Ba 0.000 0.000 0.500
O 0.245 0.745 0.376
O 0.250 0.250 0.872
O 0.255 0.755 0.624
O 0.750 0.250 0.128
O 0.500 0.000 0.503
O 0.500 0.000 0.746
O 0.255 0.245 0.624
Ba 0.500 0.500 0.754
O 0.745 0.755 0.624
Nb 0.000 0.500 0.121
Nb 0.250 0.250 0.000
Nb 0.000 0.500 0.879
O 0.750 0.750 0.128
O 0.500 0.500 0.000
O 0.745 0.245 0.624
O 0.755 0.745 0.376
O 0.250 0.750 0.128
O 0.500 0.000 0.251
Nb 0.500 0.000 0.627
Nb 0.250 0.750 0.000
Zr 0.000 0.500 0.626
Ba 0.500 0.500 0.246
Ba 0.000 0.000 0.246
Nb 0.000 0.500 0.373
O 0.250 0.750 0.872
Nb 0.500 0.000 0.121
Nb 0.750 0.250 0.000
O 0.755 0.255 0.376
O 0.000 0.500 0.254
O 0.000 0.500 0.749
Ba 0.500 0.500 0.500
O 0.750 0.250 0.872
O 0.245 0.255 0.376
Nb 0.500 0.000 0.879
Nb 0.750 0.750 0.000
Zr 0.500 0.000 0.374
O 0.750 0.750 0.872
CELL_PARAMETERS angstrom
5.987 0.000 0.000
0.000 5.987 0.000
0.000 0.000 16.674
! **Size of the total moment**: 0.02 μB per cell
! **Formation enthalpy at 0 K**: -3.05 eV per atom
! **Symmetry**: No. 129